1.
Entry from the Materials Project database: crystalline Li3MnBPO7 at its relaxed geometry (GGA+U).

```
Li3MnBPO7
1.0
3.7555 1.9727 2.6705
-2.8988 7.7905 -0.0391
-6.7502 -2.4558 11.3076
Li Mn B P O
12 4 4 4 28
Cartesian
1.7680 1.9828 3.4702
-1.6076 0.7549 9.1236
-4.2871 6.5523 4.8146
-7.6615 5.3240 10.4691
0.2216 2.3807 0.7000
-3.1542 1.1517 6.3515
-1.4246 1.7794 3.4552
-4.7985 0.5549 9.1086
-1.0942 6.7556 4.8296
-4.4706 5.5245 10.4845
-2.7402 6.1544 7.5848
-6.1144 4.9267 13.2398
-3.9152 1.9322 11.9691
-5.3542 4.1459 7.6213
-0.5382 3.1619 6.3149
-1.9795 5.3733 1.9703
-0.0337 0.8046 6.1060
-3.4077 -0.4235 11.7607
-2.4849 7.7311 2.1795
-5.8605 6.5040 7.8323
0.7666 4.4019 3.3979
-2.6090 3.1744 9.0513
-3.2853 4.1337 4.8877
-6.6593 2.9055 10.5418
0.2351 1.2641 2.3990
-3.1400 0.0368 8.0520
-2.7538 7.2718 5.8860
-6.1291 6.0433 11.5405
0.8025 1.6848 6.7961
-2.5716 0.4562 12.4504
-3.3210 6.8506 1.4898
-6.6965 5.6239 7.1423
-1.1590 1.4910 5.5833
-4.5336 0.2625 11.2376
-1.3595 7.0450 2.7025
-4.7347 5.8174 8.3547
-0.5269 4.1290 2.5657
-3.9033 2.9015 8.2192
-1.9913 4.4064 5.7201
-5.3653 3.1790 11.3742
-3.2892 2.6199 4.5552
-6.6629 1.3915 10.2094
0.7705 5.9153 3.7306
-2.6053 4.6881 9.3835
2.0227 3.9542 2.6121
-1.3532 2.7265 8.2650
0.7994 3.5075 4.6601
-2.5760 2.2799 10.3133
-3.3185 5.0281 3.6254
-6.6925 3.8001 9.2796
-4.5413 4.5814 5.6730
-7.9152 3.3530 11.3282
```



2.
Entry from the Materials Project database: crystalline RbLi2Mn2B3O9 at its relaxed geometry (GGA+U).

```
RbLi2Mn2B3O9
1.0
5.2161 0.0000 0.0000
0.0000 6.6093 0.0000
0.0000 0.0023 12.5736
Rb Li Mn B O
2 4 4 6 18
Cartesian
1.0952 0.0018 9.4302
4.1209 0.0006 3.1434
0.8061 3.2871 10.8814
0.8061 3.3257 7.9791
4.4100 3.2859 4.5945
4.4100 3.3246 1.6923
3.5117 1.5376 7.0564
1.7044 1.5364 0.7695
3.5117 5.0753 11.8041
1.7044 5.0741 5.5173
4.2287 1.2844 12.1445
0.9874 1.2833 5.8577
3.3747 3.3064 9.4302
1.8413 3.3053 3.1434
4.2287 5.3284 6.7160
0.9874 5.3272 0.4291
3.5748 0.3612 11.3660
1.6413 0.3600 5.0792
0.3458 1.5970 11.9472
4.8703 1.5959 5.6604
1.6403 1.9311 6.9008
3.5758 1.9299 0.6140
4.1598 2.7483 8.4015
1.0563 2.7471 2.1146
2.0310 3.3064 9.4302
3.1851 3.3053 3.1434
4.1598 3.8646 10.4590
1.0563 3.8634 4.1722
1.6403 4.6817 11.9597
3.5758 4.6806 5.6728
0.3458 5.0158 6.9132
4.8703 5.0146 0.6264
3.5748 6.2516 7.4944
1.6413 6.2505 1.2076
```



3.
Entry from the Materials Project database: crystalline Li6Mn2B4SO16 at its relaxed geometry (GGA+U).

```
Li6Mn2B4SO16
1.0
9.0286 -2.5389 -0.0910
5.2843 1.1926 7.6566
2.8278 -7.4460 4.9528
Li Mn B S O
12 4 8 2 32
Cartesian
12.6539 -7.4115 12.1830
10.3287 -7.9362 8.8140
6.0436 -5.7381 5.6844
13.0572 -5.7770 6.5946
10.0163 -6.8553 5.6443
7.1244 -1.9370 6.8741
11.4096 -4.1351 10.0037
14.3014 -9.0534 8.7739
8.3687 -5.2134 9.0534
8.7720 -3.5789 3.4650
11.0971 -3.0542 6.8340
15.3823 -5.2523 9.9636
4.7847 -0.5028 5.3931
6.6569 -2.3685 1.5193
3.5565 -4.8220 4.0412
2.1426 -1.0990 1.5648
9.8509 -6.3784 11.4288
7.6472 -7.7203 7.4141
5.8560 -3.0039 4.2768
12.2227 -8.7419 6.5213
9.2032 -2.2485 9.1267
15.5698 -7.9865 11.3711
11.5749 -4.6120 4.2192
13.7786 -3.2701 8.2339
8.5704 -4.3962 6.2592
12.8555 -6.5942 9.3888
8.9505 -3.0273 5.7836
9.6881 -4.9695 7.0755
8.3097 -5.2806 5.0784
5.3997 -2.3515 5.4024
7.3331 -4.3073 7.0992
8.3228 -8.2563 6.3384
11.9032 -5.7834 4.8680
8.3168 -7.4712 8.5932
5.3617 -7.5352 4.8980
4.0036 -5.3866 5.8515
6.7910 -2.4008 3.4627
6.3197 -7.3699 7.2885
6.6138 -0.1435 5.9600
10.7124 -7.8970 3.9881
10.5482 -2.5279 9.0098
8.6557 -1.1935 8.4280
9.9424 -2.3509 2.2671
5.4292 -4.2859 4.0033
10.8777 -8.4625 6.6382
11.9842 -3.4008 4.7352
6.0775 -1.0816 8.4505
11.8070 -1.1436 7.2325
8.3937 -3.0649 9.8875
10.7799 -4.6477 3.0934
13.1091 -3.5192 7.0548
9.5227 -5.2070 10.7800
7.8188 -3.9267 1.6530
14.0928 -6.6831 8.5487
6.9976 -6.1001 10.3366
13.1161 -5.7098 10.5696
11.7378 -6.0209 8.5725
12.4754 -7.9631 9.8643
```



4.
Entry from the Materials Project database: crystalline Li3MnSiBO7 at its relaxed geometry (GGA+U).

```
Li3MnSiBO7
1.0
-3.6283 -6.9823 1.8172
2.0340 2.7961 7.2989
-7.4204 3.5899 1.2595
Li Mn Si B O
12 4 4 4 28
Cartesian
-2.0843 -2.4362 2.9020
0.7473 2.4530 5.6438
-6.9304 1.8398 7.4737
-9.7620 -3.0493 4.7319
-2.8344 -1.7278 6.0148
-2.0367 0.3652 1.4558
-1.4204 0.7142 7.3842
-4.2516 -4.1750 4.6421
-7.5943 -1.3106 2.9914
-4.7630 3.5786 5.7335
-6.1801 1.1314 4.3609
-6.9779 -0.9615 8.9198
-2.2937 0.7011 4.7157
-6.7209 -1.2974 5.6598
-5.1266 -4.1871 1.9750
-3.8882 3.5906 8.4004
-4.4655 -1.2052 3.1663
-5.2628 -3.2986 7.7231
-4.5492 0.6088 7.2093
-3.7520 2.7022 2.6525
-0.9525 -2.2154 8.5340
-0.1536 -0.1230 3.9753
-8.0622 1.6189 1.8417
-8.8609 -0.4733 6.4002
-1.8205 -1.5704 1.0850
-2.6195 -3.6628 5.6438
-7.1943 0.9741 9.2908
-6.3951 3.0664 4.7318
-3.5600 -5.3679 2.4632
-0.7268 -0.4795 5.2035
-5.4548 4.7715 7.9124
-8.2879 -0.1169 5.1721
-1.8074 -1.3325 7.8419
-1.0085 0.7596 3.2831
-7.2075 0.7361 2.5338
-8.0060 -1.3559 7.0924
-4.5493 -0.3651 1.7493
-5.3481 -2.4573 6.3071
-4.4654 -0.2313 8.6262
-3.6665 1.8609 4.0686
-3.1952 0.2991 6.3632
-6.0266 -4.5895 3.6231
-5.8195 -0.8954 4.0124
-2.9882 3.9930 6.7526
-3.0591 -0.8902 3.9694
-3.8573 -2.9824 8.5273
-4.1687 -2.8056 2.8969
-1.3364 2.0835 5.6368
-4.8461 2.2092 7.4787
-7.6783 -2.6798 4.7387
-5.9555 0.2939 6.4060
-5.1575 2.3860 1.8483
```



| no. | DFT total energy (eV/atom) | formation energy from the elements (eV per atom) |
| --- | --- | --- |
| 1 | -6.789 | -2.547 |
| 2 | -7.020 | -2.422 |
| 3 | -6.711 | -2.385 |
| 4 | -6.792 | -2.550 |